# Cs2Te

Cs2Te after structural relaxation (r2SCAN, Materials Project).

Cell lengths 5.8212, 9.4485, 11.6525 Å; angles 90.00, 90.00, 90.00 degrees
Fractional positions:
Cs 0.2500 0.6477 0.9280
Cs 0.7500 0.3523 0.0720
Cs 0.7500 0.9683 0.8242
Cs 0.2500 0.5317 0.3242
Cs 0.2500 0.1477 0.5720
Cs 0.7500 0.4683 0.6758
Cs 0.7500 0.8523 0.4280
Cs 0.2500 0.0317 0.1758
Te 0.2500 0.2454 0.8840
Te 0.2500 0.7454 0.6160
Te 0.7500 0.7546 0.1160
Te 0.7500 0.2546 0.3840

uncorrected energy: -317.178 eV/cell
calculated volume: 641 Å³ per cell

***

# DyB2Rh3

DyB2Rh3 after structural relaxation (r2SCAN, Materials Project).

Cell lengths 3.1459, 5.3656, 5.3667 Å; angles 60.01, 90.00, 90.01 degrees
Fractional positions:
Dy 0.5000 0.5000 0.0000
B 0.5000 0.8333 0.3333
B 0.5000 0.1667 0.6667
Rh 0.0000 0.5000 0.5000
Rh 0.0000 0.0000 0.0000
Rh 0.0000 0.0000 0.5000

uncorrected energy: -123.803 eV/cell
calculated volume: 78 Å³ per cell

***

# K2TeSe3

K2TeSe3 after structural relaxation (r2SCAN, Materials Project).

Cell lengths 6.6340, 10.2728, 13.2412 Å; angles 74.69, 90.00, 90.00 degrees
Fractional positions:
K 0.7517 0.5077 0.8753
K 0.2483 0.4923 0.1247
K 0.2517 0.4923 0.6247
K 0.2561 0.1604 0.9540
K 0.7561 0.8396 0.5460
K 0.7439 0.8396 0.0460
K 0.2439 0.1604 0.4540
K 0.7483 0.5077 0.3753
Te 0.7865 0.2119 0.6656
Te 0.2865 0.7881 0.8344
Te 0.2135 0.7881 0.3344
Te 0.7135 0.2119 0.1656
Se 0.3478 0.1619 0.2028
Se 0.6522 0.8381 0.7972
Se 0.7546 0.1778 0.9858
Se 0.2454 0.8222 0.0142
Se 0.7452 0.4641 0.1339
Se 0.7548 0.4641 0.6339
Se 0.7454 0.1778 0.4858
Se 0.2452 0.5359 0.3661
Se 0.2546 0.8222 0.5142
Se 0.2548 0.5359 0.8661
Se 0.1522 0.1619 0.7028
Se 0.8478 0.8381 0.2972

uncorrected energy: -341.819 eV/cell
calculated volume: 870 Å³ per cell

***

# Lu2Ge2O7

Lu2Ge2O7 after structural relaxation (r2SCAN, Materials Project).

Cell lengths 9.7777, 9.7777, 9.7777 Å; angles 90.00, 90.00, 90.00 degrees
Fractional positions:
O 0.2500 0.7500 0.9544
O 0.0000 0.5000 0.7044
O 0.2044 0.5000 0.5000
O 0.7500 0.2500 0.2500
O 0.0000 0.0000 0.7956
O 0.7956 0.0000 0.0000
O 0.0000 0.2044 0.0000
O 0.7956 0.5000 0.5000
O 0.7500 0.2500 0.5456
O 0.0000 0.0000 0.2044
O 0.0000 0.5000 0.0000
O 0.9544 0.7500 0.2500
O 0.7500 0.9544 0.2500
O 0.7500 0.5456 0.2500
O 0.2044 0.0000 0.0000
O 0.0000 0.2956 0.5000
O 0.2500 0.2500 0.0456
O 0.2500 0.7500 0.5456
O 0.2500 0.4544 0.2500
O 0.7044 0.0000 0.5000
O 0.7500 0.0456 0.7500
O 0.5000 0.5000 0.2044
O 0.5000 0.7044 0.0000
O 0.7500 0.7500 0.4544
O 0.0000 0.5000 0.2956
O 0.2500 0.5456 0.7500
O 0.7044 0.5000 0.0000
O 0.5000 0.5000 0.5000
O 0.5456 0.7500 0.2500
O 0.0000 0.7044 0.5000
O 0.2500 0.9544 0.7500
O 0.0456 0.2500 0.2500
O 0.5000 0.2956 0.0000
O 0.7500 0.4544 0.7500
O 0.2500 0.2500 0.7500
O 0.4544 0.7500 0.7500
O 0.2956 0.5000 0.0000
O 0.5000 0.0000 0.7044
O 0.2500 0.0456 0.2500
O 0.9544 0.2500 0.7500
O 0.5000 0.5000 0.7956
O 0.7500 0.2500 0.9544
O 0.2956 0.0000 0.5000
O 0.0000 0.0000 0.5000
O 0.5000 0.2044 0.5000
O 0.7500 0.7500 0.7500
O 0.5000 0.7956 0.5000
O 0.7500 0.7500 0.0456
O 0.5000 0.0000 0.0000
O 0.0456 0.7500 0.7500
O 0.5456 0.2500 0.7500
O 0.5000 0.0000 0.2956
O 0.0000 0.7956 0.0000
O 0.2500 0.7500 0.2500
O 0.4544 0.2500 0.2500
O 0.2500 0.2500 0.4544
Lu 0.3750 0.1250 0.8750
Lu 0.8750 0.6250 0.8750
Lu 0.3750 0.8750 0.1250
Lu 0.1250 0.1250 0.6250
Lu 0.6250 0.1250 0.1250
Lu 0.8750 0.8750 0.6250
Lu 0.6250 0.6250 0.6250
Lu 0.6250 0.8750 0.8750
Lu 0.8750 0.1250 0.3750
Lu 0.1250 0.3750 0.8750
Lu 0.3750 0.6250 0.3750
Lu 0.6250 0.3750 0.3750
Lu 0.3750 0.3750 0.6250
Lu 0.1250 0.6250 0.1250
Lu 0.1250 0.8750 0.3750
Lu 0.8750 0.3750 0.1250
Ge 0.6250 0.6250 0.1250
Ge 0.8750 0.1250 0.8750
Ge 0.6250 0.8750 0.3750
Ge 0.6250 0.1250 0.6250
Ge 0.1250 0.8750 0.8750
Ge 0.3750 0.8750 0.6250
Ge 0.8750 0.6250 0.3750
Ge 0.1250 0.1250 0.1250
Ge 0.6250 0.3750 0.8750
Ge 0.8750 0.8750 0.1250
Ge 0.1250 0.3750 0.3750
Ge 0.8750 0.3750 0.6250
Ge 0.3750 0.6250 0.8750
Ge 0.3750 0.1250 0.3750
Ge 0.1250 0.6250 0.6250
Ge 0.3750 0.3750 0.1250

uncorrected energy: -1424.626 eV/cell
calculated volume: 935 Å³ per cell

***

# KMnF3

KMnF3 after structural relaxation (r2SCAN, Materials Project).

Cell lengths 5.9081, 5.9081, 8.3765 Å; angles 90.00, 90.00, 90.00 degrees
Fractional positions:
F 0.2743 0.7743 0.5000
F 0.2499 0.7499 0.0000
F 0.5000 0.5000 0.7500
F 0.5000 0.5000 0.2500
F 0.0000 0.0000 0.7500
F 0.7501 0.2501 0.0000
F 0.2257 0.2743 0.5000
F 0.7743 0.7257 0.5000
F 0.0000 0.0000 0.2500
F 0.7499 0.7501 0.0000
F 0.2501 0.2499 0.0000
F 0.7257 0.2257 0.5000
Mn 0.0000 0.0000 0.5000
Mn 0.0000 0.0000 0.0000
Mn 0.5000 0.5000 0.5000
Mn 0.5000 0.5000 0.0000
K 0.0000 0.5000 0.7519
K 0.0000 0.5000 0.2481
K 0.5000 0.0000 0.7519
K 0.5000 0.0000 0.2481

uncorrected energy: -180.500 eV/cell
calculated volume: 292 Å³ per cell

***

# La6MnSb15

La6MnSb15 after structural relaxation (r2SCAN, Materials Project).

Cell lengths 12.8614, 12.8614, 4.3046 Å; angles 80.40, 80.40, 102.12 degrees
Fractional positions:
La 0.3230 0.6792 0.0843
La 0.6792 0.3230 0.0843
La 0.0029 0.2706 0.9488
La 0.7262 0.9944 0.2251
La 0.9944 0.7262 0.2251
La 0.2706 0.0029 0.9488
Sb 0.9934 0.9934 0.0929
Sb 0.4011 0.4011 0.1870
Sb 0.4876 0.0758 0.3028
Sb 0.5422 0.7490 0.4389
Sb 0.8010 0.1972 0.5870
Sb 0.1658 0.1658 0.4210
Sb 0.9101 0.5126 0.8716
Sb 0.1972 0.8010 0.5870
Sb 0.2376 0.4765 0.7276
Sb 0.7490 0.5422 0.4389
Sb 0.8609 0.8609 0.7246
Sb 0.4765 0.2376 0.7276
Sb 0.5126 0.9101 0.8716
Sb 0.5896 0.5896 0.9938
Sb 0.0758 0.4876 0.3028
Mn 0.2805 0.2805 0.8086

uncorrected energy: -597.878 eV/cell
calculated volume: 671 Å³ per cell